Here is PbS2N2O8 after structural relaxation from the Materials Project. Energies are from PBE.

Cell and atoms, written as POSCAR:
```
PbS2N2O8
1.0
2.835 1.637 7.591
-2.835 1.637 7.591
0.000 -3.274 7.591
Pb S N O
1 2 2 8
Direct
0.000 0.000 0.000
0.392 0.392 0.392
0.608 0.608 0.608
0.199 0.199 0.199
0.801 0.801 0.801
0.273 0.273 0.700
0.273 0.700 0.273
0.300 0.727 0.727
0.327 0.327 0.327
0.673 0.673 0.673
0.700 0.273 0.273
0.727 0.300 0.727
0.727 0.727 0.300
```

Summary:
volume: 16.26 Å³ per atom
total moment: 4.0 Bohr magnetons per cell

***

Here is PdSN3O3 after structural relaxation from the Materials Project. Energies are from PBE.

Cell and atoms, written as POSCAR:
```
PdSN3O3
1.0
7.502 0.000 0.000
0.000 6.871 0.000
-5.002 0.000 13.745
Pd S N O
4 4 12 12
Direct
0.069 0.193 0.014
0.069 0.307 0.514
0.931 0.693 0.486
0.931 0.807 0.986
0.346 0.206 0.323
0.346 0.294 0.823
0.654 0.706 0.177
0.654 0.794 0.677
0.067 0.727 0.114
0.067 0.773 0.614
0.117 0.720 0.432
0.117 0.780 0.932
0.312 0.250 0.070
0.312 0.250 0.570
0.688 0.750 0.430
0.688 0.750 0.930
0.883 0.220 0.068
0.883 0.280 0.568
0.933 0.227 0.386
0.933 0.273 0.886
0.201 0.058 0.299
0.201 0.442 0.799
0.296 0.095 0.832
0.296 0.405 0.332
0.461 0.653 0.161
0.461 0.847 0.661
0.539 0.153 0.339
0.539 0.347 0.839
0.704 0.595 0.668
0.704 0.905 0.168
0.799 0.558 0.201
0.799 0.942 0.701
```

Summary:
volume: 22.14 Å³ per atom
relative energy among the computed polymorphs: 2 meV/atom
total moment: 8.0 Bohr magnetons per cell

***

In eV/f.u., the energy relative to the elements values for the records above are, in order, -6.6 6.4.